Entry 1:
## Tl5Se3 (PBE-GGA)

Data for crystalline Tl5Se3 at its relaxed geometry.

a = 8.5945 Å, b = 8.5945 Å, c = 12.8188 Å
α = 90.00°, β = 90.00°, γ = 90.00°
Space group P4/ncc (No. 130, origin choice 2)
Asymmetric unit:
Tl 0.0950 0.6031 0.0978 x16
Tl 0.2500 0.2500 0.2443 x4
Se 0.0919 0.5919 0.7500 x8
Se 0.2500 0.2500 0.4973 x4

Output
E_form   -0.50 eV/atom
Energy relative to the lowest polymorph listed for this composition   8 meV per atom

Entry 2:
## YMg (PBE-GGA)

Data for crystalline YMg at its relaxed geometry.

a = 3.8025 Å, b = 3.8025 Å, c = 3.8025 Å
α = 90.00°, β = 90.00°, γ = 90.00°
Space group Pm-3m (No. 221)
Asymmetric unit:
Y 0.0000 0.0000 0.0000 x1
Mg 0.5000 0.5000 0.5000 x1

Output
E_form   -0.11 eV/atom

Entry 3:
## K3CeCl6 (PBE-GGA)

Data for crystalline K3CeCl6 at its relaxed geometry.

a = 11.4573 Å, b = 11.4573 Å, c = 11.4573 Å
α = 90.00°, β = 90.00°, γ = 90.00°
Space group Fm-3m (No. 225)
Asymmetric unit:
K 0.0000 0.0000 0.0000 x4
K 0.2500 0.2500 0.2500 x8
Ce 0.0000 0.0000 0.5000 x4
Cl 0.0000 0.0000 0.2609 x24

Output
E_form   -2.38 eV/atom

Entry 4:
## CsHgCl3 (PBE-GGA)

Data for crystalline CsHgCl3 at its relaxed geometry.

a = 7.6262 Å, b = 7.6262 Å, c = 9.3801 Å
α = 90.00°, β = 90.00°, γ = 120.00°
Space group R3m (No. 160, hexagonal axes)
Asymmetric unit:
Cs 0.0000 0.0000 0.0000 x3
Hg 0.0000 0.0000 0.5094 x3
Cl 0.0003 0.5002 0.0081 x9

Output
E_form   -1.52 eV/atom
Energy relative to the lowest polymorph listed for this composition   34 meV per atom

Entry 5:
## LiCuPO4 (PBE-GGA)

Data for crystalline LiCuPO4 at its relaxed geometry.

a = 5.9506 Å, b = 6.3136 Å, c = 9.4322 Å
α = 73.24°, β = 83.38°, γ = 80.39°
Space group P-1 (No. 2)
Asymmetric unit:
Li 0.0689 0.3200 0.2080 x2
Li 0.0686 0.8439 0.1739 x2
Cu 0.3007 0.1562 0.5537 x2
Cu 0.4793 0.3930 0.7800 x2
P 0.2139 0.6866 0.5042 x2
P 0.3721 0.7926 0.8840 x2
O 0.0299 0.2466 0.4357 x2
O 0.2288 0.6855 0.3408 x2
O 0.2341 0.0204 0.8042 x2
O 0.2493 0.6027 0.8587 x2
O 0.3034 0.4454 0.6020 x2
O 0.3356 0.7763 0.0539 x2
O 0.3686 0.8502 0.5250 x2
O 0.3783 0.2345 0.1696 x2

Output
E_form   -2.16 eV/atom
Energy relative to the lowest polymorph listed for this composition   39 meV per atom

Entry 6:
## Sr2P2O7 (PBE-GGA)

Data for crystalline Sr2P2O7 at its relaxed geometry.

a = 9.0277 Å, b = 5.4669 Å, c = 13.3199 Å
α = 90.00°, β = 90.00°, γ = 90.00°
Space group Pnma (No. 62)
Asymmetric unit:
Sr 0.1261 0.2500 0.0867 x4
Sr 0.1733 0.2500 0.7607 x4
P 0.0326 0.2500 0.3175 x4
P 0.2234 0.7500 0.9647 x4
O 0.0832 0.0179 0.2621 x8
O 0.1055 0.2500 0.4295 x4
O 0.1339 0.7500 0.6655 x4
O 0.1460 0.5190 0.9239 x8
O 0.2266 0.7500 0.0794 x4

Output
E_form   -3.24 eV/atom